Material: Ca2CoN2
Method: DFT, GGA-PBE
State: optimized geometry

Properties
E_form, eV per atom: -0.79
MP2020-corrected energy, eV per atom: -6.344

Lattice parameters (Å, degrees): 5.937 5.937 6.711 118.84 118.84 49.25
Sites, in units of the cell vectors:
Ca 0.042 0.042 0.273
Ca 0.318 0.318 0.900
Ca 0.682 0.682 0.100
Ca 0.958 0.958 0.727
Co 0.376 0.376 0.377
Co 0.624 0.624 0.623
N 0.189 0.189 0.116
N 0.479 0.479 0.697
N 0.521 0.521 0.303
N 0.811 0.811 0.884



Material: Ca3Co2N4
Method: DFT, GGA-PBE
State: optimized geometry

Properties
E_form, eV per atom: -0.28
MP2020-corrected energy, eV per atom: -6.230

Lattice parameters (Å, degrees): 11.722 8.569 8.613 90.00 90.00 90.00
Sites, in units of the cell vectors:
Ca 0.129 0.113 0.000
Ca 0.157 0.596 0.796
Ca 0.165 0.420 0.261
Ca 0.335 0.920 0.761
Ca 0.343 0.096 0.296
Ca 0.371 0.613 0.500
Ca 0.629 0.387 0.000
Ca 0.657 0.904 0.796
Ca 0.665 0.080 0.261
Ca 0.835 0.580 0.761
Ca 0.843 0.404 0.296
Ca 0.871 0.887 0.500
Co 0.005 0.135 0.316
Co 0.021 0.566 0.501
Co 0.479 0.066 0.001
Co 0.495 0.635 0.816
Co 0.505 0.365 0.316
Co 0.521 0.934 0.501
Co 0.979 0.434 0.001
Co 0.995 0.865 0.816
N 0.116 0.393 0.985
N 0.135 0.890 0.819
N 0.143 0.143 0.277
N 0.162 0.562 0.508
N 0.338 0.062 0.008
N 0.357 0.643 0.777
N 0.365 0.390 0.319
N 0.384 0.893 0.485
N 0.616 0.107 0.985
N 0.635 0.610 0.819
N 0.643 0.357 0.277
N 0.662 0.938 0.508
N 0.838 0.438 0.008
N 0.857 0.857 0.777
N 0.865 0.110 0.319
N 0.884 0.607 0.485



Material: Ca2CoN2
Method: DFT, GGA-PBE
State: optimized geometry

Properties
E_form, eV per atom: -0.62
MP2020-corrected energy, eV per atom: -6.177

Lattice parameters (Å, degrees): 8.402 8.402 8.402 120.42 120.42 89.28
Sites, in units of the cell vectors:
Ca 0.003 0.503 0.205
Ca 0.202 0.997 0.500
Ca 0.298 0.798 0.795
Ca 0.497 0.702 0.500
Ca 0.503 0.298 0.500
Ca 0.702 0.202 0.205
Ca 0.798 0.003 0.500
Ca 0.997 0.497 0.795
Co 0.147 0.353 0.500
Co 0.353 0.853 0.206
Co 0.647 0.147 0.794
Co 0.853 0.647 0.500
N 0.001 0.209 0.500
N 0.209 0.709 0.207
N 0.291 0.499 0.500
N 0.499 0.999 0.207
N 0.501 0.001 0.793
N 0.709 0.501 0.500
N 0.791 0.291 0.793
N 0.999 0.791 0.500



Material: Ca2CoN2
Method: DFT, GGA-PBE
State: optimized geometry

Properties
E_form, eV per atom: -0.78
MP2020-corrected energy, eV per atom: -6.337

Lattice parameters (Å, degrees): 6.606 6.606 6.606 148.72 148.72 44.82
Sites, in units of the cell vectors:
Ca 0.152 0.152 0.000
Ca 0.848 0.848 0.000
Co 0.500 0.500 0.000
N 0.356 0.356 0.000
N 0.644 0.644 0.000